# 1
A plane-wave DFT calculation with r²SCAN was carried out for crystalline SmInCu4 at its relaxed geometry.

- ΔH_f (0 K) (eV per formula unit) = -1.67

Unit cell a=7.2351 b=7.2351 c=7.2351 alpha=90.00 beta=90.00 gamma=90.00
Space group F-43m (No. 216)
Inequivalent atoms, fractional coordinates:
Sm 0.0000 0.0000 0.0000 [4 per cell]
In 0.2500 0.2500 0.2500 [4 per cell]
Cu 0.1244 0.1244 0.6244 [16 per cell]



# 2
A plane-wave DFT calculation with r²SCAN was carried out for crystalline Cs at its relaxed geometry.

- ΔH_f (0 K) (eV per formula unit) = 0.02
- E above lowest polymorph (eV/atom) = 0.017

Unit cell a=5.9653 b=9.0625 c=5.4003 alpha=90.00 beta=122.98 gamma=90.00
Space group C2/m (No. 12)
Inequivalent atoms, fractional coordinates:
Cs 0.0000 0.0000 0.0000 [2 per cell]



# 3
A plane-wave DFT calculation with r²SCAN was carried out for crystalline CuS at its relaxed geometry.

- ΔH_f (0 K) (eV per formula unit) = -0.54

Unit cell a=5.1601 b=5.1601 c=5.1601 alpha=90.00 beta=90.00 gamma=90.00
Space group F-43m (No. 216)
Inequivalent atoms, fractional coordinates:
Cu 0.0000 0.0000 0.0000 [4 per cell]
S 0.2500 0.2500 0.7500 [4 per cell]



# 4
A plane-wave DFT calculation with r²SCAN was carried out for crystalline Te at its relaxed geometry.

- ΔH_f (0 K) (eV per formula unit) = 0.00
- E above lowest polymorph (eV/atom) = 0.001

Unit cell a=4.6182 b=4.6182 c=5.8851 alpha=90.00 beta=90.00 gamma=120.00
Space group P3_221 (No. 154)
Inequivalent atoms, fractional coordinates:
Te 0.0000 0.2557 0.3333 [3 per cell]



# 5
A plane-wave DFT calculation with r²SCAN was carried out for crystalline MnNbRu2 at its relaxed geometry.

- ΔH_f (0 K) (eV per formula unit) = -1.30

Unit cell a=6.2007 b=6.2007 c=6.2007 alpha=90.00 beta=90.00 gamma=90.00
Space group Fm-3m (No. 225)
Inequivalent atoms, fractional coordinates:
Mn 0.0000 0.0000 0.0000 [4 per cell]
Nb 0.0000 0.0000 0.5000 [4 per cell]
Ru 0.2500 0.2500 0.2500 [8 per cell]



# 6
A plane-wave DFT calculation with r²SCAN was carried out for crystalline ThSiO4 at its relaxed geometry.

- ΔH_f (0 K) (eV per formula unit) = -21.92

Unit cell a=7.1422 b=7.1422 c=6.3359 alpha=90.00 beta=90.00 gamma=90.00
Space group I4_1/amd (No. 141, origin choice 2)
Inequivalent atoms, fractional coordinates:
Th 0.0000 0.2500 0.3750 [4 per cell]
Si 0.0000 0.2500 0.8750 [4 per cell]
O 0.0000 0.0735 0.7099 [16 per cell]



Q: ΔH_f (0 K) of number 2 (Cs)?
A: 0.02 eV per formula unit